1.
## SmBrO (r²SCAN)

Data for an optimized crystal structure of SmBrO.

Output
Its crystal system is tetragonal. The calculation puts the energy of formation at -3.2254 eV per atom. For the total magnetization, the calculation gives 0.0 Bohr magnetons per cell.

Cell lengths 3.943, 3.943, 8.244 Å; angles 90.00, 90.00, 90.00 degrees
Fractional positions:
Sm1 0.250 0.250 0.858
Sm2 0.750 0.750 0.142
Br1 0.750 0.750 0.662
Br2 0.250 0.250 0.338
O1 0.750 0.250 0.000
O2 0.250 0.750 0.000

2.
## Sr4Br6O (r²SCAN)

Data for an optimized crystal structure of Sr4Br6O.

Output
Its crystal system is hexagonal. The calculation puts the energy of formation at -2.5682 eV per atom. For the total magnetization, the calculation gives 0.0 Bohr magnetons per cell.

Cell lengths 9.909, 9.909, 7.604 Å; angles 90.00, 90.00, 120.00 degrees
Fractional positions:
Sr1 0.799 0.599 0.998
Sr2 0.401 0.201 0.998
Sr3 0.667 0.333 0.585
Sr4 0.201 0.799 0.498
Sr5 0.599 0.799 0.498
Sr6 0.201 0.401 0.498
Sr7 0.333 0.667 0.085
Sr8 0.799 0.201 0.998
Br1 0.534 0.069 0.293
Br2 0.466 0.931 0.793
Br3 0.534 0.466 0.293
Br4 0.139 0.861 0.113
Br5 0.723 0.861 0.113
Br6 0.861 0.723 0.613
Br7 0.069 0.534 0.793
Br8 0.931 0.466 0.293
Br9 0.277 0.139 0.613
Br10 0.139 0.277 0.113
Br11 0.466 0.534 0.793
Br12 0.861 0.139 0.613
O1 0.333 0.667 0.398
O2 0.667 0.333 0.898

3.
## Te6Br2O11 (r²SCAN)

Data for an optimized crystal structure of Te6Br2O11.

Output
Its crystal system is orthorhombic. The calculation puts the energy of formation at -1.0244 eV per atom. For the total magnetization, the calculation gives 0.0 Bohr magnetons per cell.

Cell lengths 6.896, 6.896, 15.647 Å; angles 90.00, 90.00, 119.81 degrees
Fractional positions:
Te1 0.070 0.070 0.859
Te2 0.930 0.930 0.359
Te3 0.070 0.070 0.641
Te4 0.930 0.930 0.141
Te5 0.216 0.526 0.085
Te6 0.784 0.474 0.585
Te7 0.526 0.216 0.415
Te8 0.474 0.784 0.915
Te9 0.784 0.474 0.915
Te10 0.216 0.526 0.415
Te11 0.474 0.784 0.585
Te12 0.526 0.216 0.085
Br1 0.142 0.477 0.750
Br2 0.858 0.523 0.250
Br3 0.477 0.142 0.750
Br4 0.523 0.858 0.250
O1 0.932 0.932 0.750
O2 0.068 0.068 0.250
O3 0.965 0.202 0.095
O4 0.035 0.798 0.595
O5 0.202 0.965 0.405
O6 0.798 0.035 0.905
O7 0.035 0.798 0.905
O8 0.965 0.202 0.405
O9 0.798 0.035 0.595
O10 0.202 0.965 0.095
O11 0.815 0.514 0.035
O12 0.185 0.486 0.535
O13 0.514 0.815 0.465
O14 0.486 0.185 0.965
O15 0.185 0.486 0.965
O16 0.815 0.514 0.465
O17 0.426 0.426 0.110
O18 0.574 0.574 0.610
O19 0.426 0.426 0.390
O20 0.574 0.574 0.890
O21 0.514 0.815 0.035
O22 0.486 0.185 0.535